(1)
The following is a DFT calculation (GGA-PBE) of Nd2In3Cu9 after structural relaxation.

abc: 10.707 17.105 5.171
angles: 90.00 90.00 90.00
Element x y z (fractional)
Nd  0.000  0.000  0.000
Nd  0.000  0.500  0.000
Nd  0.122  0.236  0.500
Nd  0.378  0.736  0.000
Nd  0.500  0.000  0.500
Nd  0.500  0.500  0.500
Nd  0.622  0.264  0.000
Nd  0.878  0.764  0.500
In  0.041  0.410  0.500
In  0.083  0.806  0.000
In  0.194  0.049  0.500
In  0.306  0.549  0.000
In  0.417  0.306  0.500
In  0.459  0.910  0.000
In  0.541  0.090  0.000
In  0.583  0.694  0.500
In  0.694  0.451  0.000
In  0.806  0.951  0.500
In  0.917  0.194  0.000
In  0.959  0.590  0.500
Cu  0.046  0.904  0.500
Cu  0.071  0.329  0.000
Cu  0.141  0.661  0.242
Cu  0.141  0.661  0.758
Cu  0.158  0.153  0.000
Cu  0.201  0.781  0.500
Cu  0.202  0.535  0.500
Cu  0.247  0.906  0.255
Cu  0.247  0.906  0.745
Cu  0.253  0.406  0.245
Cu  0.253  0.406  0.755
Cu  0.298  0.035  0.000
Cu  0.299  0.281  0.000
Cu  0.342  0.653  0.500
Cu  0.359  0.161  0.258
Cu  0.359  0.161  0.742
Cu  0.429  0.829  0.500
Cu  0.454  0.404  0.000
Cu  0.546  0.596  0.000
Cu  0.571  0.171  0.500
Cu  0.641  0.839  0.258
Cu  0.641  0.839  0.742
Cu  0.658  0.347  0.500
Cu  0.701  0.719  0.000
Cu  0.702  0.965  0.000
Cu  0.747  0.594  0.245
Cu  0.747  0.594  0.755
Cu  0.753  0.094  0.255
Cu  0.753  0.094  0.745
Cu  0.798  0.465  0.500
Cu  0.799  0.219  0.500
Cu  0.842  0.847  0.000
Cu  0.859  0.339  0.242
Cu  0.859  0.339  0.758
Cu  0.929  0.671  0.000
Cu  0.954  0.096  0.500

M_tot	0.152	Bohr magnetons per cell
crystal system	orthorhombic
DFT formation energy	-187	meV/atom

---

(2)
The following is a DFT calculation (GGA-PBE) of NdInCu2 after structural relaxation.

abc: 4.794 4.794 4.794
angles: 60.00 60.00 60.00
Element x y z (fractional)
Nd  0.000  0.000  0.000
In  0.500  0.500  0.500
Cu  0.250  0.250  0.250
Cu  0.750  0.750  0.750

crystal system	cubic
DFT formation energy	-289	meV/atom

---

(3)
The following is a DFT calculation (GGA-PBE) of NdInCu after structural relaxation.

abc: 7.599 7.599 4.101
angles: 90.00 90.00 120.00
Element x y z (fractional)
Nd  0.000  0.587  0.000
Nd  0.413  0.413  0.000
Nd  0.587  0.000  0.000
In  0.000  0.249  0.500
In  0.249  0.000  0.500
In  0.751  0.751  0.500
Cu  0.000  0.000  0.000
Cu  0.333  0.667  0.500
Cu  0.667  0.333  0.500

crystal system	hexagonal
DFT formation energy	-385	meV/atom

---

(4)
The following is a DFT calculation (GGA-PBE) of InCu6O8 after structural relaxation.

abc: 6.533 6.533 6.533
angles: 60.00 60.00 60.00
Element x y z (fractional)
In  0.000  0.000  0.000
Cu  0.000  0.000  0.500
Cu  0.000  0.500  0.000
Cu  0.000  0.500  0.500
Cu  0.500  0.000  0.000
Cu  0.500  0.000  0.500
Cu  0.500  0.500  0.000
O  0.143  0.143  0.143
O  0.143  0.143  0.572
O  0.143  0.572  0.143
O  0.428  0.857  0.857
O  0.572  0.143  0.143
O  0.857  0.428  0.857
O  0.857  0.857  0.428
O  0.857  0.857  0.857

crystal system	cubic
corrected total energy (MP2020 scheme)	-5.591	eV per atom
DFT formation energy	-1129	meV/atom

---

(5)
The following is a DFT calculation (GGA-PBE) of In2Cu3Se6O18 after structural relaxation.

abc: 5.609 19.707 9.422
angles: 90.00 123.86 90.00
Element x y z (fractional)
In  0.230  0.154  0.257
In  0.230  0.346  0.757
In  0.770  0.654  0.243
In  0.770  0.846  0.743
Cu  0.208  0.014  0.827
Cu  0.208  0.486  0.327
Cu  0.500  0.000  0.500
Cu  0.500  0.500  0.000
Cu  0.792  0.514  0.673
Cu  0.792  0.986  0.173
Se  0.070  0.614  0.024
Se  0.070  0.886  0.524
Se  0.268  0.592  0.647
Se  0.268  0.908  0.147
Se  0.457  0.723  0.442
Se  0.457  0.777  0.942
Se  0.543  0.223  0.058
Se  0.543  0.277  0.558
Se  0.732  0.092  0.853
Se  0.732  0.408  0.353
Se  0.930  0.114  0.476
Se  0.930  0.386  0.976
O  0.020  0.588  0.183
O  0.020  0.912  0.683
O  0.084  0.104  0.013
O  0.084  0.396  0.513
O  0.094  0.733  0.351
O  0.094  0.767  0.851
O  0.171  0.058  0.631
O  0.171  0.442  0.131
O  0.204  0.533  0.764
O  0.204  0.967  0.264
O  0.378  0.540  0.541
O  0.378  0.960  0.041
O  0.410  0.575  0.105
O  0.410  0.925  0.605
O  0.434  0.193  0.516
O  0.434  0.307  0.016
O  0.461  0.712  0.260
O  0.461  0.788  0.760
O  0.539  0.212  0.240
O  0.539  0.288  0.740
O  0.566  0.693  0.984
O  0.566  0.807  0.484
O  0.590  0.075  0.395
O  0.590  0.425  0.895
O  0.622  0.040  0.959
O  0.622  0.460  0.459
O  0.796  0.033  0.736
O  0.796  0.467  0.236
O  0.829  0.558  0.869
O  0.829  0.942  0.369
O  0.906  0.233  0.149
O  0.906  0.267  0.649
O  0.916  0.604  0.487
O  0.916  0.896  0.987
O  0.980  0.088  0.317
O  0.980  0.412  0.817

M_tot	5.998	Bohr magnetons per cell
crystal system	monoclinic
corrected total energy (MP2020 scheme)	-5.709	eV per atom
DFT formation energy	-1301	meV/atom

---

(6)
The following is a DFT calculation (GGA-PBE) of InCu3PbSe4 after structural relaxation.

abc: 6.191 6.191 6.191
angles: 90.00 90.00 90.00
Element x y z (fractional)
In  0.000  0.000  0.000
Cu  0.000  0.000  0.500
Cu  0.000  0.500  0.000
Cu  0.500  0.000  0.000
Pb  0.500  0.500  0.500
Se  0.239  0.239  0.239
Se  0.239  0.761  0.761
Se  0.761  0.239  0.761
Se  0.761  0.761  0.239

M_tot	0.001	Bohr magnetons per cell
crystal system	cubic
corrected total energy (MP2020 scheme)	-3.951	eV per atom
DFT formation energy	-312	meV/atom

---

(7)
The following is a DFT calculation (GGA-PBE) of PmInCu2 after structural relaxation.

abc: 4.767 4.767 4.767
angles: 60.00 60.00 60.00
Element x y z (fractional)
Pm  0.000  0.000  0.000
In  0.500  0.500  0.500
Cu  0.250  0.250  0.250
Cu  0.750  0.750  0.750

crystal system	cubic
DFT formation energy	-301	meV/atom

---

(8)
The following is a DFT calculation (GGA-PBE) of PrInCu2 after structural relaxation.

abc: 4.818 4.818 4.818
angles: 60.00 60.00 60.00
Element x y z (fractional)
Pr  0.000  0.000  0.000
In  0.500  0.500  0.500
Cu  0.250  0.250  0.250
Cu  0.750  0.750  0.750

M_tot	0.000	Bohr magnetons per cell
crystal system	cubic
DFT formation energy	-274	meV/atom